1.
Compound: Ba3GaN3
Source: the Materials Project database
Functional: r²SCAN
Structure: relaxed

Total energy = -245.60 eV for the cell shown
Formation enthalpy at 0 K = -4.5 eV/f.u.
Crystal system = hexagonal

a = 8.0799 Å, b = 8.0799 Å, c = 5.7914 Å
α = 90.00°, β = 90.00°, γ = 120.00°
Last column: nearest neighbours and their distance in Å.
Space group P6_3/m (No. 176)
Unique sites:
Ba: 0.0692 0.3619 0.2500  4 N 2.70-2.92
Ga: 0.3333 0.6667 0.7500  3 N 1.92
N: 0.1092 0.4183 0.7500  1 Ga 1.92

---

2.
Compound: Ba6Nd2Ga4O15
Source: the Materials Project database
Functional: r²SCAN
Structure: relaxed

Total energy = -857.57 eV for the cell shown
Formation enthalpy at 0 K = -75.6 eV/f.u.
Crystal system = monoclinic

a = 8.1048 Å, b = 6.0523 Å, c = 18.7545 Å
α = 90.00°, β = 91.00°, γ = 90.00°
Last column: nearest neighbours and their distance in Å.
Space group P2/c (No. 13)
Unique sites:
Ba: 0.0000 0.1595 0.2500  6 O 2.70-2.98
Ba: 0.0032 0.2564 0.9210  2 O 2.54-2.77
Ba: 0.4704 0.2541 0.9081  7 O 2.74-2.99
Ba: 0.5000 0.2094 0.2500  4 O 2.67-2.77
Nd: 0.2544 0.2468 0.0907  6 O 2.30-2.44
Ga: 0.2541 0.2453 0.4400  4 O 1.86-1.88
Ga: 0.2719 0.2831 0.7354  4 O 1.82-1.88
O: 0.0369 0.2617 0.4073  1 Ga 1.86
O: 0.1923 0.1703 0.8178  1 Ga 1.82
O: 0.2276 0.4413 0.1991  1 Ga 1.83
O: 0.2482 0.0735 0.6621  1 Ga 1.88
O: 0.2637 0.0147 0.9929  1 Ga 1.86
O: 0.2681 0.4766 0.5068  1 Ga 1.88
O: 0.4481 0.2675 0.3892  1 Ga 1.86
O: 0.5000 0.2928 0.7500  2 Ga 1.86

---

3.
Compound: Ba6Tm2Ga4O15
Source: the Materials Project database
Functional: r²SCAN
Structure: relaxed

Total energy = -884.84 eV for the cell shown
Formation enthalpy at 0 K = -77.8 eV/f.u.
Crystal system = monoclinic

a = 7.9393 Å, b = 5.9606 Å, c = 18.4722 Å
α = 90.00°, β = 91.45°, γ = 90.00°
Last column: nearest neighbours and their distance in Å.
Space group P2/c (No. 13)
Unique sites:
Ba: 0.0000 0.1764 0.2500  8 O 2.74-3.00
Ba: 0.0009 0.2542 0.5784  2 O 2.54-2.82
Ba: 0.4747 0.2494 0.9106  9 O 2.76-3.08
Ba: 0.5000 0.2215 0.2500  7 O 2.69-2.94
Tm: 0.2532 0.2483 0.0894  6 O 2.18-2.33
Ga: 0.2543 0.2465 0.4424  4 O 1.86-1.89
Ga: 0.2700 0.2704 0.7323  4 O 1.81-1.87
O: 0.0303 0.2531 0.4105  1 Ga 1.86
O: 0.1882 0.1650 0.8163  1 Ga 1.81
O: 0.2226 0.4631 0.1863  1 Ga 1.84
O: 0.2540 0.0410 0.6634  1 Ga 1.87
O: 0.2660 0.4888 0.5080  1 Ga 1.89
O: 0.2669 0.0109 0.9999  1 Ga 1.87
O: 0.4551 0.2645 0.3930  1 Ga 1.86
O: 0.5000 0.3047 0.7500  2 Ga 1.86

---

4.
Compound: BaGa2Pt2
Source: the Materials Project database
Functional: r²SCAN
Structure: relaxed

Total energy = -627.58 eV for the cell shown
Formation enthalpy at 0 K = -4.5 eV/f.u.
Crystal system = monoclinic

a = 8.4483 Å, b = 6.6714 Å, c = 8.2192 Å
α = 90.00°, β = 95.65°, γ = 90.00°
Last column: nearest neighbours and their distance in Å.
Space group P2_1/c (No. 14)
Unique sites:
Ba: 0.2342 0.1110 0.0009  5 Pt 3.30-3.67, 6 Ga 3.50-3.69
Ga: 0.0744 0.5760 0.8747  4 Pt 2.46-2.56, 1 Ga 2.71
Ga: 0.4406 0.6538 0.1905  4 Pt 2.44-2.50
Pt: 0.1433 0.6717 0.1752  4 Ga 2.46-2.56
Pt: 0.3741 0.5989 0.8929  4 Ga 2.44-2.53

---

5.
Compound: Ba2Ga2S5
Source: the Materials Project database
Functional: r²SCAN
Structure: relaxed

Total energy = -1043.51 eV for the cell shown
Formation enthalpy at 0 K = -14.4 eV/f.u.
Crystal system = monoclinic

a = 15.5324 Å, b = 14.8652 Å, c = 8.6323 Å
α = 90.00°, β = 105.87°, γ = 90.00°
Last column: nearest neighbours and their distance in Å.
Space group C2/c (No. 15)
Unique sites:
Ba: 0.1484 0.1332 0.3901  7 S 3.16-3.40
Ba: 0.1496 0.4211 0.1077  7 S 3.16-3.44
Ga: 0.0719 0.3041 0.6186  4 S 2.21-2.30
Ga: 0.1034 0.1243 0.9143  4 S 2.25-2.30
S: 0.0000 0.0319 0.7500  2 Ga 2.29
S: 0.0000 0.4011 0.7500  2 Ga 2.30
S: 0.0395 0.2223 0.0553  2 Ga 2.29-2.30
S: 0.1383 0.3777 0.4603  1 Ga 2.21
S: 0.1770 0.2114 0.7708  2 Ga 2.26-2.30
S: 0.2086 0.0447 0.0916  1 Ga 2.25

---

6.
Compound: Ba2GaS4
Source: the Materials Project database
Functional: r²SCAN
Structure: relaxed

Total energy = -869.23 eV for the cell shown
Formation enthalpy at 0 K = -12.1 eV/f.u.
Crystal system = monoclinic

a = 12.8305 Å, b = 6.2537 Å, c = 20.1028 Å
α = 90.00°, β = 104.30°, γ = 90.00°
Last column: nearest neighbours and their distance in Å.
Space group P2_1/c (No. 14)
Unique sites:
Ba: 0.0270 0.2314 0.1873  8 S 3.18-3.49
Ba: 0.1168 0.2355 0.4630  8 S 3.14-3.36
Ba: 0.3539 0.7425 0.4512  8 S 3.20-3.57
Ba: 0.3954 0.2359 0.2865  7 S 3.17-3.40
Ga: 0.1972 0.6880 0.6006  4 S 2.22-2.35
Ga: 0.3823 0.1829 0.5988  4 S 2.25-2.32
S: 0.0832 0.7257 0.1635  1 Ga 2.22
S: 0.1127 0.7330 0.4854  1 Ga 2.32
S: 0.1858 0.0658 0.3277  1 S 2.10
S: 0.1860 0.0985 0.8272  1 S 2.10
S: 0.2316 0.1753 0.1265  2 Ga 2.32-2.35
S: 0.3676 0.6807 0.1159  2 Ga 2.28-2.31
S: 0.3834 0.2454 0.4889  1 Ga 2.25
S: 0.4630 0.7353 0.3241  1 Ga 2.26

---

7.
Compound: Ba3Ga2S6
Source: the Materials Project database
Functional: r²SCAN
Structure: relaxed

Total energy = -678.74 eV for the cell shown
Formation enthalpy at 0 K = -19.1 eV/f.u.
Crystal system = monoclinic

a = 9.1377 Å, b = 14.5374 Å, c = 9.1613 Å
α = 90.00°, β = 91.77°, γ = 90.00°
Last column: nearest neighbours and their distance in Å.
Space group C2/c (No. 15)
Unique sites:
Ba: 0.0000 0.0359 0.2500  8 S 3.15-3.47
Ba: 0.0964 0.3619 0.0091  7 S 3.15-3.48
Ga: 0.1828 0.1632 0.5677  4 S 2.24-2.36
S: 0.0598 0.1417 0.9580  1 Ga 2.24
S: 0.1815 0.4505 0.3330  1 Ga 2.24
S: 0.2234 0.3075 0.6655  2 Ga 2.31-2.36

---

8.
Compound: BaGa2S4
Source: the Materials Project database
Functional: r²SCAN
Structure: relaxed

Total energy = -1092.80 eV for the cell shown
Formation enthalpy at 0 K = -9.5 eV/f.u.
Crystal system = cubic

a = 12.7729 Å, b = 12.7729 Å, c = 12.7729 Å
α = 90.00°, β = 90.00°, γ = 90.00°
Last column: nearest neighbours and their distance in Å.
Space group Pa-3 (No. 205)
Unique sites:
Ba: 0.0000 0.0000 0.0000  12 S 3.58-3.62
Ba: 0.1279 0.6279 0.8721  6 S 3.21-3.29
Ga: 0.1270 0.1952 0.3562  4 S 2.26-2.29
S: 0.0255 0.0780 0.2710  2 Ga 2.26-2.29
S: 0.1271 0.1391 0.7923  2 Ga 2.27-2.28